1.
144
Lattice="0.025 -0.014 11.500 11.389 -0.015 0.025 -5.728 15.865 -5.782" Properties=species:S:1:pos:R:3 comment="K5Na3Ta7NbO20 | the Materials Project database | PBE | optimized geometry" space_group=P1 formation_enthalpy_0k_ev_per_fu=-95.63 pbc="T T T"
O 0.084 2.028 5.743
O -1.446 15.855 -4.376
O 9.976 0.023 7.170
O 5.776 2.027 -0.060
O -4.265 15.778 -1.504
O -1.464 15.801 4.243
O -0.108 13.813 5.689
O -2.755 10.063 2.782
O -0.141 9.978 -0.128
O 4.195 3.963 4.289
O 5.832 5.934 -0.086
O 7.133 8.000 1.438
O 1.395 15.802 1.384
O 4.261 3.974 9.995
O -2.652 13.752 -2.930
O 2.758 5.895 2.821
O 7.133 8.130 -1.448
O 1.533 11.813 1.233
O 6.334 11.678 3.544
O 7.146 8.025 4.297
O 4.271 7.974 -1.423
O -4.268 15.818 1.359
O 7.103 11.756 -1.702
O 4.266 15.832 -1.466
O 4.306 7.966 7.199
O 1.388 15.820 -1.513
O 5.768 5.914 5.747
O 5.637 9.984 0.141
O 2.815 1.996 2.809
O -0.155 9.906 5.833
O -1.403 7.989 1.403
O 2.783 1.981 8.601
O -0.046 13.801 -0.145
O -1.370 4.002 1.376
O 1.418 8.007 7.195
O 9.982 0.022 10.078
O -1.420 7.984 4.279
O 0.926 11.716 4.016
O -2.554 9.998 -2.973
O 0.100 5.903 5.719
O -3.090 11.876 0.530
O 8.428 2.035 8.655
O 2.841 13.848 2.884
O 5.736 2.004 5.723
O 4.221 3.964 7.181
O 1.417 8.009 4.278
O -4.271 15.793 4.250
O 0.166 5.956 -0.044
O -1.363 3.988 4.317
O 1.426 8.043 -1.466
O -4.272 15.735 -4.384
O 2.933 10.050 -2.807
O 8.539 2.004 2.860
O 4.309 7.884 4.293
O 2.832 13.750 -2.815
O 8.534 5.938 2.870
O 5.755 13.781 0.035
O -1.467 15.788 1.351
O 4.272 7.850 1.400
O -2.940 13.698 2.774
O 3.030 9.898 2.851
O 0.140 11.866 -2.363
O 1.388 15.805 4.266
O -1.445 15.848 -1.514
O 5.725 13.762 5.586
O 4.286 4.011 1.281
O -1.383 4.014 -1.454
O 1.441 8.064 1.394
O -1.434 4.019 7.280
O 4.263 15.794 -4.340
O 5.679 9.957 5.694
O 0.109 2.015 -0.018
O -1.407 7.885 -1.488
O 1.382 15.774 -4.354
O 7.157 8.048 7.187
O 1.513 11.882 6.933
O 6.943 11.842 7.136
O -1.398 7.808 7.176
O 2.743 5.954 8.649
O 8.398 5.925 8.670
Ta 0.033 8.004 -0.028
Ta 2.827 4.024 8.642
Ta -3.400 11.859 2.439
Ta 2.800 15.829 2.840
Ta 0.015 7.935 5.738
Ta -0.151 3.969 5.922
Ta 5.700 7.959 -0.006
Ta 0.028 4.012 -0.086
Ta 5.978 11.848 5.399
Ta 5.721 7.947 5.736
Ta 2.815 15.772 -2.910
Ta -5.682 15.845 5.684
Ta 5.688 3.972 -0.254
Ta -2.860 15.850 -2.939
Ta 2.863 7.935 2.861
Ta 8.784 3.938 2.868
Ta 3.034 3.977 2.669
Ta 5.486 3.949 5.739
Ta -3.039 11.868 -3.183
Ta -0.016 15.808 -0.066
Ta 2.846 -0.006 8.590
Ta -2.835 7.974 2.842
Ta 8.544 3.951 8.841
Ta 5.681 15.817 -0.040
Ta 0.088 11.860 5.727
Ta -2.819 7.927 8.594
Ta 0.003 15.814 5.686
Ta 2.832 8.039 -2.876
Na -0.176 9.591 -2.999
Na 2.779 6.093 -0.048
Na 5.532 9.570 2.816
Na -2.673 9.623 -0.121
Na -0.180 14.177 -2.989
Na -2.758 14.182 -0.131
Na -0.024 9.700 2.871
Na 2.985 9.732 0.063
Na 0.079 6.086 8.644
Na 5.634 9.719 -2.797
Na -2.698 9.683 5.723
Na -2.736 14.091 5.679
K 2.831 1.926 5.725
K 2.829 6.019 5.743
K -0.089 13.829 2.736
K 5.747 1.938 2.821
K 0.037 6.022 2.841
K 8.571 1.890 0.034
K 5.552 14.060 2.804
K -0.010 1.915 8.621
K 5.664 6.032 8.588
K 5.611 13.818 -2.882
K 2.891 13.867 5.737
K 2.964 13.912 0.023
K 5.759 5.968 2.832
K 2.876 1.916 -0.061
K 2.907 9.898 5.757
K 0.052 1.917 2.847
K 8.519 5.968 5.764
K 8.583 6.029 0.027
K 8.516 1.921 5.762
K 5.654 1.879 8.566
Nb 2.146 11.876 -2.603
Nb 2.698 11.848 2.804
Nb 0.406 11.870 -0.369
Nb 6.252 11.851 0.139



2.
144
Lattice="-0.005 -0.019 11.460 11.457 -0.028 -0.006 -5.764 15.877 -5.752" Properties=species:S:1:pos:R:3 comment="K5Na3Ta5Nb3O20 | the Materials Project database | PBE | optimized geometry" space_group=P1 formation_enthalpy_0k_ev_per_fu=-94.89 pbc="T T T"
Ta -0.057 15.807 5.689
Ta 8.548 -0.034 8.576
Ta 2.823 -0.017 8.567
Ta -2.932 15.839 -2.912
Ta -0.016 7.954 5.748
Ta -0.036 15.824 -0.053
Ta 2.797 15.813 -2.921
Ta 0.014 7.985 -0.016
Ta 2.987 4.007 8.615
Ta -2.887 7.965 -2.871
Ta 5.612 3.966 0.055
Ta -0.104 4.002 -0.075
Ta 5.681 15.809 5.675
Ta -2.887 7.996 2.854
Ta 5.729 7.987 5.725
Ta 5.721 7.958 0.011
Ta -0.170 3.985 5.701
Ta 2.850 8.018 -2.850
Ta 2.825 7.958 2.865
Ta 0.000 0.005 5.712
O 1.396 8.060 7.196
O 0.126 5.990 -0.036
O 5.649 13.631 0.066
O 1.362 15.746 -1.506
O -1.524 15.830 4.245
O 2.878 13.671 -2.752
O 5.509 10.097 0.197
O 1.432 8.072 -1.433
O -1.424 7.979 -1.452
O 4.254 15.755 -4.361
O 4.267 7.921 1.410
O 5.651 10.059 5.789
O 4.287 8.000 4.282
O 8.435 6.003 8.621
O 1.350 15.725 4.265
O 1.364 15.694 -4.341
O -0.271 13.766 5.699
O 1.380 8.114 4.299
O 10.018 -0.034 7.133
O 1.537 11.863 6.915
O -2.660 10.122 2.756
O -4.341 15.794 1.373
O 2.729 6.020 2.851
O -1.295 3.992 1.397
O -1.277 4.023 9.924
O -1.442 7.838 7.178
O 2.444 11.682 0.507
O -4.335 15.737 -4.362
O -1.486 15.735 -1.489
O -2.638 10.062 -2.997
O 4.282 15.827 -1.482
O 4.234 15.772 4.263
O 0.056 1.972 -0.034
O -2.968 13.710 2.770
O 6.720 11.670 -1.930
O -3.153 11.879 0.417
O 4.258 3.972 4.294
O 2.774 1.892 2.854
O -0.307 9.962 5.878
O 5.814 5.976 -0.024
O -2.821 13.699 -2.963
O 8.528 1.887 2.797
O -0.105 10.036 -0.033
O -1.456 7.989 4.293
O -1.334 3.999 7.172
O 0.002 13.697 -0.039
O 2.966 10.024 2.823
O 5.730 13.684 5.638
O 8.502 6.025 2.823
O 0.089 5.949 5.698
O 7.141 8.097 1.422
O 4.340 4.001 1.417
O 7.151 8.090 7.149
O 7.162 8.147 4.278
O 2.789 1.983 8.582
O 1.420 8.084 1.406
O 1.364 15.779 1.383
O 7.144 8.188 -1.421
O -1.428 8.001 1.404
O 6.445 11.641 3.585
O -1.521 15.777 1.364
O 0.067 1.972 5.692
O 2.752 5.967 8.633
O 2.972 10.092 -2.699
O 4.194 3.983 7.151
O 5.778 1.986 -0.002
O -1.487 15.825 -4.342
O -1.346 3.970 4.232
O 4.293 7.978 -1.413
O 5.746 1.891 5.697
O 5.790 6.036 5.717
O -4.331 15.689 -1.451
O -3.138 11.874 6.172
O 2.753 13.690 2.741
O 4.336 4.002 -1.457
O 0.819 11.686 3.800
O -4.338 15.767 4.247
O 8.516 1.890 8.596
O 4.283 8.011 7.195
O 0.160 11.861 -2.287
Na 3.033 9.525 -0.009
Na 5.513 9.628 2.822
Na -0.171 9.654 2.829
Na -2.626 9.625 -0.065
Na -2.761 14.199 -0.095
Na -2.711 9.545 5.730
Na -0.242 9.613 -2.925
Na 5.618 9.705 -2.863
Na 2.756 6.070 0.036
Na -2.781 14.235 5.674
Na -0.248 14.151 -2.904
Na 0.011 6.037 8.598
Nb -3.291 11.856 -3.295
Nb 0.583 11.846 -0.276
Nb -3.447 11.856 2.415
Nb 2.318 11.813 2.454
Nb 6.374 11.848 5.665
Nb 0.137 11.848 5.597
Nb 2.896 3.976 2.897
Nb 6.328 11.824 0.012
Nb 8.613 3.944 2.757
Nb 8.603 3.949 8.587
Nb 5.628 3.967 5.685
Nb 2.131 11.872 -2.641
K 5.695 1.893 2.860
K 2.857 1.926 -0.001
K 2.885 1.924 5.705
K 5.704 1.891 8.557
K 8.564 1.912 5.686
K 2.947 14.099 -0.054
K -0.056 6.041 2.842
K 5.561 13.859 -2.901
K 5.511 13.946 2.825
K -0.043 1.901 2.821
K -0.033 1.926 8.569
K 2.873 6.038 5.731
K 5.702 6.028 8.573
K 8.600 6.004 -0.020
K 8.591 1.895 -0.023
K -0.219 13.911 2.767
K 2.903 13.824 5.686
K 8.561 5.975 5.693
K 5.696 6.026 2.876
K 2.942 9.934 5.729



3.
144
Lattice="-0.019 0.011 11.536 11.608 -0.027 -0.019 -5.832 15.767 -5.743" Properties=species:S:1:pos:R:3 comment="K5Na3TaNb7O20 | the Materials Project database | PBE | optimized geometry" space_group=P1 formation_enthalpy_0k_ev_per_fu=-92.07 pbc="T T T"
K 5.804 1.894 8.661
K 5.860 1.802 2.928
K 8.649 1.875 5.769
K 0.033 1.911 2.819
K 8.574 1.814 0.033
K 2.908 1.891 5.709
K 5.878 6.140 2.971
K 5.676 13.829 -2.860
K 8.591 6.111 0.076
K 8.649 6.006 5.801
K 2.979 9.794 5.799
K 5.550 13.785 2.910
K -0.219 13.856 2.842
K 2.881 6.048 5.767
K 5.803 6.017 8.735
K 0.064 1.708 8.569
K 2.924 13.820 5.750
K 2.971 14.008 0.033
K 0.020 6.024 2.859
K 2.789 1.748 -0.109
Nb 0.004 7.946 0.052
Nb -3.436 11.766 2.436
Nb 2.213 11.806 -2.707
Nb 5.789 7.933 5.838
Nb -0.034 7.907 5.834
Nb 8.859 3.979 2.804
Nb 6.490 11.775 5.781
Nb 3.304 3.986 2.533
Nb -0.431 4.005 -0.350
Nb -2.936 15.751 -2.864
Nb 5.264 3.989 0.208
Nb 9.276 3.982 8.885
Nb -2.960 15.723 2.859
Nb -2.919 8.004 2.940
Nb 5.614 3.947 5.677
Nb 5.791 7.941 0.070
Nb 2.895 7.935 -2.817
Nb -2.909 7.908 -2.832
Nb 2.276 11.728 2.526
Nb -3.348 11.769 -3.305
Nb 0.170 11.781 5.687
Nb 2.880 7.925 2.944
Nb 8.644 -0.003 8.643
Nb -0.046 15.718 0.030
Nb 3.062 3.971 8.612
Nb 6.410 11.742 -0.011
Nb 0.574 11.758 -0.349
Nb -0.226 3.961 5.786
Na -2.731 9.461 5.800
Na 3.090 9.482 0.018
Na 0.115 6.412 8.699
Na -2.803 14.178 5.773
Na -0.225 14.124 -2.844
Na 5.599 9.576 2.899
Na -2.790 14.131 -0.049
Na 5.656 9.564 -2.833
Na -0.184 9.517 2.918
Na -2.641 9.534 -0.041
Na -0.266 9.534 -2.905
Na 2.754 6.368 0.019
O -0.334 4.183 9.230
O 5.676 13.506 0.063
O 3.112 10.134 -2.647
O 5.869 5.949 5.791
O 1.449 8.022 -1.385
O 8.622 5.939 2.909
O 2.735 5.919 8.708
O -4.467 15.596 4.378
O 6.784 11.562 -1.969
O 8.649 1.899 2.849
O 7.256 8.160 4.394
O -1.525 15.690 1.427
O -0.054 1.981 -0.114
O 5.831 5.866 0.116
O 0.026 13.571 -0.011
O -1.453 7.920 -1.432
O 7.223 8.097 -1.361
O 4.307 7.907 1.473
O 8.569 5.814 8.805
O 8.732 2.059 8.783
O 0.016 5.881 -0.030
O -4.447 15.700 -4.365
O -1.478 7.778 7.282
O 1.420 8.044 4.359
O -0.288 13.668 5.766
O -1.461 7.942 1.472
O 7.228 8.106 1.503
O 2.364 11.591 0.576
O 0.100 5.892 5.793
O -0.423 10.001 5.982
O 1.389 8.082 7.305
O -4.384 15.658 -1.430
O 1.333 15.718 4.397
O -2.903 13.590 -2.922
O -2.937 13.556 2.841
O 4.518 3.910 9.893
O 0.789 11.586 3.859
O 4.555 3.965 4.078
O 2.802 1.946 8.605
O 4.297 15.625 4.363
O -1.524 15.729 4.364
O -4.406 15.602 1.387
O -1.510 15.681 -1.452
O 4.295 15.671 -4.331
O 2.855 5.880 2.888
O 4.327 7.897 -1.370
O 5.671 13.486 5.887
O 5.591 10.166 6.112
O 1.448 15.641 -1.476
O 6.738 11.555 3.816
O 5.489 10.111 0.233
O 3.281 4.187 0.583
O -2.653 10.016 -2.947
O 1.664 11.792 6.890
O 4.365 7.956 4.376
O 2.921 2.027 2.757
O 2.993 13.543 -2.708
O -1.309 3.926 4.162
O 2.753 13.582 2.831
O 1.425 8.006 1.456
O 4.336 15.713 -1.460
O 3.053 10.026 2.918
O -1.463 7.934 4.374
O 4.248 3.959 7.079
O 1.388 15.559 -4.285
O -3.149 11.812 6.219
O 4.338 15.741 1.416
O 9.925 3.913 6.997
O 5.723 1.985 0.129
O -1.513 15.654 -4.315
O 0.075 1.936 5.754
O 4.330 7.920 7.294
O -2.568 10.128 2.865
O 9.934 3.928 1.192
O 0.215 11.798 -2.363
O 5.809 1.963 5.739
O -3.232 11.780 0.434
O -0.187 10.026 -0.011
O 1.408 15.753 1.493
O 7.240 8.016 7.282
Ta 5.769 15.728 0.003
Ta 11.566 -0.009 11.504
Ta -0.086 15.751 5.782
Ta 2.846 15.734 -2.862



4.
18
Lattice="-2.295 1.952 4.947 -2.817 -5.016 0.672 6.493 -3.081 4.227" Properties=species:S:1:pos:R:3 comment="KNaNdTaO5 | the Materials Project database | PBE | optimized geometry" space_group=P4/nmm formation_enthalpy_0k_ev_per_fu=-28.03 pbc="T T T"
O -0.924 0.870 2.619
O 4.861 -5.483 4.417
O 0.865 -1.639 2.879
O 3.071 -2.974 4.158
O -1.712 -3.450 5.517
O 1.832 -1.920 6.829
O -0.190 -0.741 5.155
O 1.775 -5.281 4.467
O 0.536 -4.228 7.138
O -0.656 -4.348 3.242
Nd 3.246 -1.540 2.114
Nd 0.690 -3.073 4.923
Ta 0.523 0.183 3.561
Ta 3.413 -4.796 3.475
Na 3.783 -1.363 5.683
Na 0.154 -3.250 1.353
K -2.556 -1.532 2.810
K 0.000 0.000 0.000